This record from Materials Project describes a relaxed structure of VTe2. The functional is r²SCAN.

```
9
Lattice="1.9042 7.3004 -0.1847 -1.9042 7.3004 -0.1847 0.0000 3.3043 8.6599" Properties=species:S:1:pos:R:3 pbc="T T T"
Te 0.0000 5.3148 0.0463
Te 0.0000 2.5402 6.0383
Te 0.0000 6.3254 5.2842
Te 0.0000 15.3648 2.2521
Te 0.0000 11.5796 3.0061
Te 0.0000 12.5903 8.2440
V 0.0000 0.0000 0.0000
V 0.0000 11.7457 5.7842
V 0.0000 6.1593 2.5061
```

Results
Symmetry: C2/m (12)
VASP energy (eV per cell): -198.82
DFT formation energy (eV per atom): -0.45

---

This record from Materials Project describes a relaxed structure of Tm2Al9Rh3. The functional is r²SCAN.

```
28
Lattice="-5.6184 2.7740 4.0731 -0.6550 -6.8206 -2.9837 3.7538 -3.7397 7.7249" Properties=species:S:1:pos:R:3 pbc="T T T"
Rh 1.8769 -1.8699 3.8624
Rh 0.0000 0.0000 0.0000
Rh -2.2800 -3.6793 -0.6733
Rh -0.4031 -5.5492 3.1891
Rh -2.1165 -2.2371 5.6252
Rh -3.9934 -0.3672 1.7627
Al -3.8895 -3.9093 6.5272
Al -0.1442 -6.0603 5.6558
Al 1.3699 -3.8770 2.2871
Al -3.9944 -2.8858 1.1141
Al -0.9133 -8.4303 6.8720
Al 0.0548 -2.5668 -0.4192
Al -2.2284 -7.1202 4.1657
Al -0.2911 -0.6661 4.6487
Al -2.5744 -5.2195 9.2336
Al -1.1888 -4.0411 7.1409
Al -0.0253 -3.4061 4.6133
Al -2.6470 -6.3282 6.7423
Al -2.3754 -1.7260 3.1586
Al -1.3308 -3.7452 1.6734
Al -2.4943 -4.3802 4.2011
Al -1.6062 0.6440 1.9424
Al 0.1274 -1.4581 2.0721
Al 1.4748 -4.9005 7.7002
Tm 0.9718 -1.9342 7.1110
Tm -3.4914 -5.8521 1.7034
Tm 2.5697 -5.0230 4.8392
Tm -5.0892 -2.7633 3.9751
```

Results
Symmetry: Cmcm (63)
VASP energy (eV per cell): -431.58
DFT formation energy (eV per atom): -0.90

---

This record from Materials Project describes a relaxed structure of Li4TeO5. The functional is r²SCAN.

```
20
Lattice="0.8221 -4.8705 -1.2068 0.8818 -0.0207 5.0660 -7.6240 0.6550 -1.0565" Properties=species:S:1:pos:R:3 pbc="T T T"
O -3.9344 -4.1922 0.3613
O -3.0937 -2.8720 2.7336
O -1.2505 -3.6380 -1.1553
O -4.6696 -0.5982 3.9580
O 0.5054 -0.6324 4.0018
O -1.9856 -0.0440 2.4414
O -0.4731 -1.9782 1.3010
O -2.8264 -1.3642 0.0691
O -5.4469 -2.2580 1.5018
O -6.4254 -3.6038 -1.1990
Li -4.5438 -2.3518 -0.4212
Li -2.1017 -3.1764 0.6850
Li 0.3122 -3.6908 2.0196
Li -1.3762 -1.8844 3.2239
Li -3.8184 -1.0598 2.1177
Li -6.2322 -0.5454 0.7831
Li 0.4111 -2.4352 -0.6034
Li -3.8120 0.3275 -0.5283
Te -4.5776 -3.8400 2.0895
Te -1.3424 -0.3962 0.7132
```

Results
Symmetry: P-1 (2)
VASP energy (eV per cell): -168.92
DFT formation energy (eV per atom): -1.96